(1)
HfMnRh2 r²SCAN relaxed; total moment = 19.647 μB/cell; space group = Fm-3m (225); energy of formation = -887 meV/atom
1.0
6.2971 0.0000 0.0000
0.0000 6.2971 0.0000
0.0000 0.0000 6.2971
Hf Mn Rh
4 4 8
Direct
0.0000 0.0000 0.0000
0.0000 0.5000 0.5000
0.5000 0.0000 0.5000
0.5000 0.5000 0.0000
0.0000 0.0000 0.5000
0.0000 0.5000 0.0000
0.5000 0.0000 0.0000
0.5000 0.5000 0.5000
0.2500 0.2500 0.2500
0.2500 0.2500 0.7500
0.2500 0.7500 0.2500
0.2500 0.7500 0.7500
0.7500 0.2500 0.2500
0.7500 0.2500 0.7500
0.7500 0.7500 0.2500
0.7500 0.7500 0.7500

=====

(2)
NaRh2O4 r²SCAN relaxed; total moment = 3.978 μB/cell; space group = Pnma (62); energy of formation = -1231 meV/atom
1.0
8.9873 0.0000 0.0000
0.0000 3.0558 0.0000
0.0000 0.0000 10.6737
Na Rh O
4 8 16
Direct
0.2377 0.2500 0.1561
0.2623 0.7500 0.6561
0.7377 0.2500 0.3439
0.7623 0.7500 0.8439
0.0562 0.2500 0.3827
0.0872 0.2500 0.8974
0.4128 0.7500 0.3974
0.4438 0.7500 0.8827
0.5562 0.2500 0.1173
0.5872 0.2500 0.6026
0.9128 0.7500 0.1026
0.9438 0.7500 0.6173
0.0318 0.7500 0.7883
0.0832 0.2500 0.5705
0.1174 0.7500 0.0213
0.1972 0.7500 0.3368
0.3028 0.2500 0.8368
0.3826 0.2500 0.5213
0.4168 0.7500 0.0705
0.4682 0.2500 0.2883
0.5318 0.7500 0.7117
0.5832 0.2500 0.9295
0.6174 0.7500 0.4787
0.6972 0.7500 0.1632
0.8028 0.2500 0.6632
0.8826 0.2500 0.9787
0.9168 0.7500 0.4295
0.9682 0.2500 0.2117

=====

(3)
TbI3O9 r²SCAN relaxed; total moment = 0.000 μB/cell; space group = P2_1/c (14); energy of formation = -1115 meV/atom
1.0
8.7044 0.0000 0.0000
0.0000 5.9635 0.0000
-6.8454 0.0000 14.9595
Tb I O
4 12 36
Direct
0.1450 0.2162 0.1022
0.1450 0.2838 0.6022
0.8550 0.7162 0.3978
0.8550 0.7838 0.8978
0.0746 0.1858 0.3542
0.0746 0.3142 0.8542
0.3572 0.6490 0.5210
0.3572 0.8510 0.0210
0.4184 0.5978 0.8002
0.4184 0.9022 0.3002
0.5816 0.0978 0.6998
0.5816 0.4022 0.1998
0.6428 0.1490 0.9790
0.6428 0.3510 0.4790
0.9254 0.6858 0.1458
0.9254 0.8142 0.6458
0.0583 0.0591 0.6917
0.0583 0.4409 0.1917
0.0948 0.6083 0.6703
0.0948 0.8917 0.1703
0.1134 0.1167 0.4680
0.1134 0.3833 0.9680
0.1290 0.6178 0.4879
0.1290 0.8822 0.9879
0.3401 0.5888 0.8868
0.3401 0.9112 0.3868
0.3437 0.1789 0.2558
0.3437 0.3211 0.7558
0.3555 0.0727 0.9426
0.3555 0.4273 0.4426
0.3638 0.0088 0.6351
0.3638 0.4912 0.1351
0.3952 0.0263 0.1184
0.3952 0.4737 0.6184
0.6048 0.5263 0.3816
0.6048 0.9737 0.8816
0.6362 0.5088 0.8649
0.6362 0.9912 0.3649
0.6445 0.5727 0.5574
0.6445 0.9273 0.0574
0.6563 0.6789 0.2442
0.6563 0.8211 0.7442
0.6599 0.0888 0.6132
0.6599 0.4112 0.1132
0.8710 0.1178 0.0121
0.8710 0.3822 0.5121
0.8866 0.6167 0.0320
0.8866 0.8833 0.5320
0.9052 0.1083 0.8297
0.9052 0.3917 0.3297
0.9417 0.5591 0.8083
0.9417 0.9409 0.3083

=====

(4)
Tm12Al7Si r²SCAN relaxed; total moment = 0.000 μB/cell; space group = I4/mcm (140); energy of formation = -446 meV/atom
1.0
-5.7282 5.7282 7.4849
5.7282 -5.7282 7.4849
5.7282 5.7282 -7.4849
Tm Al Si
24 14 2
Direct
0.0641 0.9269 0.2649
0.0731 0.3380 0.1372
0.1473 0.6473 0.5000
0.1620 0.4269 0.8628
0.1708 0.3292 0.5000
0.2008 0.9359 0.8628
0.2992 0.1620 0.7351
0.3292 0.8292 0.1584
0.3380 0.2008 0.2649
0.3527 0.8527 0.5000
0.4269 0.5641 0.2649
0.4359 0.7008 0.8628
0.5641 0.2992 0.1372
0.5731 0.4359 0.7351
0.6473 0.1473 0.5000
0.6620 0.7992 0.7351
0.6708 0.1708 0.8416
0.7008 0.8380 0.2649
0.7992 0.0641 0.1372
0.8292 0.6708 0.5000
0.8380 0.5731 0.1372
0.8527 0.3527 0.5000
0.9269 0.6620 0.8628
0.9359 0.0731 0.7351
0.0000 0.0000 0.0000
0.0245 0.8809 0.5000
0.1191 0.6191 0.1436
0.1188 0.6188 0.7376
0.3812 0.1188 0.5000
0.3809 0.5245 0.5000
0.4755 0.9755 0.8564
0.5000 0.5000 0.0000
0.5245 0.0245 0.1436
0.6191 0.4755 0.5000
0.6188 0.8812 0.5000
0.8812 0.3812 0.2624
0.8809 0.3809 0.8564
0.9755 0.1191 0.5000
0.2500 0.2500 0.0000
0.7500 0.7500 0.0000

=====

(5)
YbTmSe2 r²SCAN relaxed; total moment = 0.000 μB/cell; space group = R-3m (166); energy of formation = -1880 meV/atom
1.0
3.9659 0.0000 0.0000
-1.9830 3.4346 0.0000
0.0000 0.0000 19.7074
Yb Tm Se
3 3 6
Direct
0.0000 0.0000 0.0000
0.3333 0.6667 0.6667
0.6667 0.3333 0.3333
0.0000 0.0000 0.5000
0.3333 0.6667 0.1667
0.6667 0.3333 0.8333
0.0000 0.0000 0.2506
0.0000 0.0000 0.7494
0.3333 0.6667 0.4160
0.3333 0.6667 0.9173
0.6667 0.3333 0.0827
0.6667 0.3333 0.5840

=====

(6)
Cs2U2O7 r²SCAN relaxed; total moment = 0.000 μB/cell; space group = C2/m (12); energy of formation = -3068 meV/atom
1.0
7.2742 -2.1599 0.0000
7.2742 2.1599 0.0000
-3.0126 0.0000 6.9477
Cs U O
2 2 7
Direct
0.1029 0.1029 0.4188
0.8971 0.8971 0.5812
0.3531 0.3531 0.0081
0.6469 0.6469 0.9919
0.1908 0.1908 0.9957
0.3006 0.3006 0.7403
0.4119 0.4119 0.2761
0.5000 0.5000 0.0000
0.5881 0.5881 0.7239
0.6994 0.6994 0.2597
0.8092 0.8092 0.0043

=====

(7)
Li2PmPb r²SCAN relaxed; total moment = 0.001 μB/cell; space group = Fm-3m (225); energy of formation = -433 meV/atom
1.0
6.9439 0.0000 0.0000
0.0000 6.9439 0.0000
0.0000 0.0000 6.9439
Li Pm Pb
8 4 4
Direct
0.2500 0.2500 0.2500
0.2500 0.2500 0.7500
0.2500 0.7500 0.2500
0.2500 0.7500 0.7500
0.7500 0.2500 0.2500
0.7500 0.2500 0.7500
0.7500 0.7500 0.2500
0.7500 0.7500 0.7500
0.0000 0.0000 0.0000
0.0000 0.5000 0.5000
0.5000 0.0000 0.5000
0.5000 0.5000 0.0000
0.0000 0.0000 0.5000
0.0000 0.5000 0.0000
0.5000 0.0000 0.0000
0.5000 0.5000 0.5000

=====

(8)
Er2PdPt r²SCAN relaxed; total moment = 0.000 μB/cell; space group = Fm-3m (225); energy of formation = -1181 meV/atom
1.0
6.8878 0.0000 0.0000
0.0000 6.8878 0.0000
0.0000 0.0000 6.8878
Er Pd Pt
8 4 4
Direct
0.2500 0.2500 0.2500
0.2500 0.2500 0.7500
0.2500 0.7500 0.2500
0.2500 0.7500 0.7500
0.7500 0.2500 0.2500
0.7500 0.2500 0.7500
0.7500 0.7500 0.2500
0.7500 0.7500 0.7500
0.0000 0.0000 0.0000
0.0000 0.5000 0.5000
0.5000 0.0000 0.5000
0.5000 0.5000 0.0000
0.0000 0.0000 0.5000
0.0000 0.5000 0.0000
0.5000 0.0000 0.0000
0.5000 0.5000 0.5000

=====

(9)
Li7BiO6 r²SCAN relaxed; energy above the lowest structure with this stoichiometry = 0.000 eV/atom; total moment = 0.000 μB/cell; space group = P1 (1); energy of formation = -1867 meV/atom
1.0
5.4346 0.0000 0.0000
2.6704 4.7899 0.0000
2.5690 1.6044 5.1227
Li Bi O
7 1 6
Direct
0.0000 0.0000 0.0000
0.0279 0.7470 0.7604
0.1467 0.4831 0.4481
0.3270 0.3444 0.0079
0.4358 0.0837 0.7428
0.6357 0.5918 0.0031
0.8832 0.1834 0.3725
0.5341 0.8296 0.3920
0.1461 0.0740 0.6242
0.3051 0.9484 0.1204
0.4042 0.4692 0.6300
0.6197 0.2225 0.1696
0.7690 0.7671 0.6291
0.9244 0.6028 0.1444

=====

(10)
Sm2Sn2O7 r²SCAN relaxed; total moment = 0.000 μB/cell; space group = Fd-3m (227); energy of formation = -2840 meV/atom
1.0
0.0000 5.2673 5.2673
5.2673 0.0000 5.2673
5.2673 5.2673 0.0000
Sm Sn O
4 4 14
Direct
0.0000 0.0000 0.0000
0.0000 0.0000 0.5000
0.0000 0.5000 0.0000
0.5000 0.0000 0.0000
0.0000 0.5000 0.5000
0.5000 0.0000 0.5000
0.5000 0.5000 0.0000
0.5000 0.5000 0.5000
0.1250 0.1250 0.1250
0.1653 0.1653 0.5847
0.1653 0.5847 0.1653
0.1653 0.5847 0.5847
0.4153 0.4153 0.8347
0.4153 0.8347 0.4153
0.4153 0.8347 0.8347
0.5847 0.1653 0.1653
0.5847 0.1653 0.5847
0.5847 0.5847 0.1653
0.8347 0.4153 0.4153
0.8347 0.4153 0.8347
0.8347 0.8347 0.4153
0.8750 0.8750 0.8750

=====

(11)
Zr2AlFe3 r²SCAN relaxed; energy above the lowest structure with this stoichiometry = 0.000 eV/atom; total moment = 8.172 μB/cell; space group = P6_3/mmc (194); energy of formation = -305 meV/atom
1.0
5.0381 0.0000 0.0000
-2.5191 4.3632 0.0000
0.0000 0.0000 8.3285
Zr Al Fe
4 2 6
Direct
0.3333 0.6667 0.0650
0.3333 0.6667 0.4350
0.6667 0.3333 0.5650
0.6667 0.3333 0.9350
0.0000 0.0000 0.0000
0.0000 0.0000 0.5000
0.1708 0.3417 0.7500
0.1708 0.8292 0.7500
0.3417 0.1708 0.2500
0.6583 0.8292 0.7500
0.8292 0.1708 0.2500
0.8292 0.6583 0.2500

=====

(12)
Ba5Pt2O9 r²SCAN relaxed; total moment = 0.000 μB/cell; space group = P321 (150); energy of formation = -2129 meV/atom
1.0
10.2494 0.0000 0.0000
-5.1247 8.8762 0.0000
0.0000 0.0000 8.9672
Ba Pt O
15 6 27
Direct
0.0000 0.0000 0.0000
0.0000 0.3298 0.5000
0.0000 0.3658 0.0000
0.0315 0.6964 0.2633
0.3036 0.3350 0.2633
0.3298 0.0000 0.5000
0.3333 0.6667 0.7523
0.3350 0.3036 0.7367
0.3658 0.0000 0.0000
0.6342 0.6342 0.0000
0.6650 0.9685 0.2633
0.6667 0.3333 0.2477
0.6702 0.6702 0.5000
0.6964 0.0315 0.7367
0.9685 0.6650 0.7367
0.0000 0.0000 0.3461
0.0000 0.0000 0.6539
0.3333 0.6667 0.0993
0.3333 0.6667 0.4074
0.6667 0.3333 0.5926
0.6667 0.3333 0.9007
0.0000 0.8518 0.5000
0.0068 0.1740 0.7778
0.1482 0.1482 0.5000
0.1672 0.9932 0.7778
0.1725 0.5221 0.2530
0.1740 0.0068 0.2222
0.1749 0.6849 0.9746
0.1760 0.6818 0.5319
0.3151 0.4900 0.9746
0.3182 0.4942 0.5319
0.3496 0.8275 0.2530
0.4779 0.6504 0.2530
0.4900 0.3151 0.0254
0.4942 0.3182 0.4681
0.5058 0.8240 0.5319
0.5100 0.8251 0.9746
0.5221 0.1725 0.7470
0.6504 0.4779 0.7470
0.6818 0.1760 0.4681
0.6849 0.1749 0.0254
0.8240 0.5058 0.4681
0.8251 0.5100 0.0254
0.8260 0.8328 0.7778
0.8275 0.3496 0.7470
0.8328 0.8260 0.2222
0.8518 0.0000 0.5000
0.9932 0.1672 0.2222

=====

(13)
Cu3O4 r²SCAN relaxed; total moment = 3.741 μB/cell; space group = Ibam (72); energy of formation = -612 meV/atom
1.0
-3.3447 3.7308 2.9781
3.3447 -3.7308 2.9781
3.3447 3.7308 -2.9781
Cu O
6 8
Direct
0.0000 0.0000 0.0000
0.0000 0.0000 0.5000
0.0000 0.5000 0.0000
0.5000 0.0000 0.0000
0.5000 0.5000 0.0000
0.5000 0.5000 0.5000
0.2448 0.5802 0.8250
0.2500 0.0536 0.8036
0.2500 0.4464 0.1964
0.2552 0.0802 0.3354
0.7448 0.9198 0.6646
0.7500 0.5536 0.8036
0.7500 0.9464 0.1964
0.7552 0.4198 0.1750

=====

(14)
BaAl4Se7 r²SCAN relaxed; total moment = 0.000 μB/cell; space group = Pc (7); energy of formation = -1289 meV/atom
1.0
7.6853 0.0000 0.0000
0.0000 6.5792 0.0000
-7.6444 0.0000 12.6912
Ba Al Se
2 8 14
Direct
0.0000 0.1425 0.0000
0.0000 0.8575 0.5000
0.4365 0.4860 0.9565
0.4365 0.5140 0.4565
0.4430 0.3399 0.6953
0.4430 0.6601 0.1953
0.6706 0.1336 0.1787
0.6706 0.8664 0.6787
0.9261 0.3470 0.6822
0.9261 0.6530 0.1822
0.2256 0.3548 0.5107
0.2256 0.6452 0.0107
0.2542 0.4792 0.2619
0.2542 0.5208 0.7619
0.4432 0.1369 0.9951
0.4432 0.8631 0.4951
0.5305 0.0154 0.7730
0.5305 0.9846 0.2730
0.7598 0.4763 0.2604
0.7598 0.5237 0.7604
0.7620 0.3969 0.4994
0.7620 0.6031 0.9994
0.9949 0.0030 0.7315
0.9949 0.9970 0.2315

=====

(15)
K5Pb24 r²SCAN relaxed; total moment = 0.000 μB/cell; space group = I-43m (217); energy of formation = -152 meV/atom
1.0
-6.2278 6.2278 6.2278
6.2278 -6.2278 6.2278
6.2278 6.2278 -6.2278
K Pb
5 24
Direct
0.0000 0.0000 0.0000
0.0000 0.0000 0.3631
0.0000 0.3631 0.0000
0.3631 0.0000 0.0000
0.6369 0.6369 0.6369
0.0000 0.3202 0.5992
0.0000 0.5992 0.3202
0.0000 0.6095 0.8005
0.0000 0.8005 0.6095
0.1910 0.3905 0.3905
0.1995 0.1995 0.8090
0.1995 0.8090 0.1995
0.2790 0.6798 0.6798
0.3202 0.0000 0.5992
0.3202 0.5992 0.0000
0.3905 0.1910 0.3905
0.3905 0.3905 0.1910
0.4008 0.4008 0.7210
0.4008 0.7210 0.4008
0.5992 0.0000 0.3202
0.5992 0.3202 0.0000
0.6095 0.0000 0.8005
0.6095 0.8005 0.0000
0.6798 0.2790 0.6798
0.6798 0.6798 0.2790
0.7210 0.4008 0.4008
0.8005 0.0000 0.6095
0.8005 0.6095 0.0000
0.8090 0.1995 0.1995